# 1
## MnGa2Tc (GGA-PBE)

Data for a geometry-optimized MnGa2Tc structure.

Output
volume: 54 Å³ per cell
ΔE_f: -92 meV/atom
space group: Fm-3m (225)

Lattice parameters (Å, degrees): 4.2504 4.2504 4.2504 60.00 60.00 60.00
With the nearest neighbours (Å) after each atom.
Positions (direct):
Mn: 0.0000 0.0000 0.0000  8 Ga 2.60
Ga: 0.7500 0.7500 0.7500  4 Mn 2.60, 4 Tc 2.60
Ga: 0.2500 0.2500 0.2500  4 Mn 2.60, 4 Tc 2.60
Tc: 0.5000 0.5000 0.5000  8 Ga 2.60

# 2
## Sr7Nb6O21 (GGA-PBE)

Data for a geometry-optimized Sr7Nb6O21 structure.

Output
E (MP2020): -8.456 eV per atom
volume: 470 Å³ per cell
ΔE_f: -3269 meV/atom
space group: R-3 (148)

Lattice parameters (Å, degrees): 16.7355 16.7355 16.7355 19.78 19.78 19.78
With the nearest neighbours (Å) after each atom.
Positions (direct):
Sr: 0.8473 0.8473 0.8473  6 O 2.58-2.60
Sr: 0.7677 0.7677 0.7677  6 O 2.59-2.65
Sr: 0.2323 0.2323 0.2323  6 O 2.59-2.65
Sr: 0.1527 0.1527 0.1527  6 O 2.58-2.60
Sr: 0.3845 0.3845 0.3845  6 O 2.67-2.74
Sr: 0.6155 0.6155 0.6155  6 O 2.67-2.74
Sr: 0.0000 0.0000 0.0000  12 O 2.84-2.87
Nb: 0.9273 0.9273 0.9273  6 O 1.99-2.07
Nb: 0.4571 0.4571 0.4571  3 O 1.89
Nb: 0.3095 0.3095 0.3095  6 O 2.03-2.04
Nb: 0.0727 0.0727 0.0727  6 O 1.99-2.07
Nb: 0.6905 0.6905 0.6905  6 O 2.03-2.04
Nb: 0.5429 0.5429 0.5429  3 O 1.89
O: 0.7548 0.3063 0.2199  2 Nb 1.99-2.22
O: 0.7043 0.1405 0.5771  1 Nb 1.89
O: 0.5771 0.7043 0.1405  1 Nb 1.89
O: 0.6250 0.1420 0.0918  2 Nb 2.04-2.07
O: 0.1405 0.5771 0.7043  1 Nb 1.89
O: 0.2452 0.6937 0.7801  2 Nb 1.99-2.22
O: 0.7801 0.2452 0.6937  2 Nb 1.99-2.22
O: 0.3063 0.2199 0.7548  2 Nb 1.99-2.22
O: 0.9082 0.3750 0.8580  2 Nb 2.04-2.07
O: 0.2957 0.8595 0.4229  1 Nb 1.89
O: 0.5000 0.5000 0.0000  2 Nb 2.03
O: 0.1420 0.0918 0.6250  2 Nb 2.04-2.07
O: 0.4229 0.2957 0.8595  1 Nb 1.89
O: 0.3750 0.8580 0.9082  2 Nb 2.04-2.07
O: 0.2199 0.7548 0.3063  2 Nb 1.99-2.22
O: 0.8595 0.4229 0.2957  1 Nb 1.89
O: 0.0918 0.6250 0.1420  2 Nb 2.04-2.07
O: 0.8580 0.9082 0.3750  2 Nb 2.04-2.07
O: 0.6937 0.7801 0.2452  2 Nb 1.99-2.22
O: 0.5000 0.0000 0.5000  2 Nb 2.03
O: 0.0000 0.5000 0.5000  2 Nb 2.03

# 3
## Mg6TiW (GGA-PBE)

Data for a geometry-optimized Mg6TiW structure.

Output
offset from the most stable computed form: 81.0 meV/atom
volume: 315 Å³ per cell
ΔE_f: 326 meV/atom

Lattice parameters (Å, degrees): 4.9699 5.7373 11.0424 90.00 90.00 90.00
With the nearest neighbours (Å) after each atom.
Positions (direct):
Mg: 0.5000 0.2495 0.4237  8 Mg 2.86-3.11, 2 Ti 3.09-3.14, 2 W 3.11
Mg: 0.5000 0.7505 0.4237  8 Mg 2.86-3.11, 2 Ti 3.09-3.14, 2 W 3.11
Mg: 0.0000 0.7431 0.0859  6 Mg 2.79-3.06, 2 W 3.01, 2 Ti 3.04
Mg: 0.0000 0.2569 0.0859  6 Mg 2.79-3.06, 2 W 3.01, 2 Ti 3.04
Mg: 0.0000 0.0000 0.3204  8 Mg 2.87-3.09, 2 Ti 2.98
Mg: 0.0000 0.5000 0.3158  8 Mg 2.87-3.11, 2 W 2.94
Mg: 0.5000 0.7495 0.9237  8 Mg 2.86-3.11, 2 Ti 3.09-3.14, 2 W 3.11
Mg: 0.5000 0.2505 0.9237  8 Mg 2.86-3.11, 2 Ti 3.09-3.14, 2 W 3.11
Mg: 0.0000 0.2431 0.5859  6 Mg 2.79-3.06, 2 W 3.01, 2 Ti 3.04
Mg: 0.0000 0.7569 0.5859  6 Mg 2.79-3.06, 2 W 3.01, 2 Ti 3.04
Mg: 0.0000 0.5000 0.8204  8 Mg 2.87-3.09, 2 Ti 2.98
Mg: 0.0000 0.0000 0.8158  8 Mg 2.87-3.11, 2 W 2.94
Ti: 0.5000 0.0000 0.1710  2 W 2.87, 10 Mg 2.98-3.14
Ti: 0.5000 0.5000 0.6710  2 W 2.87, 10 Mg 2.98-3.14
W: 0.5000 0.5000 0.1737  2 Ti 2.87, 10 Mg 2.94-3.11
W: 0.5000 0.0000 0.6737  2 Ti 2.87, 10 Mg 2.94-3.11

# 4
## Li3Ti3P4O16 (GGA-PBE)

Data for a geometry-optimized Li3Ti3P4O16 structure.

Output
E (MP2020): -7.865 eV per atom
offset from the most stable computed form: 26.7 meV/atom
volume: 667 Å³ per cell
ΔE_f: -2856 meV/atom
space group: C2/c (15)

Lattice parameters (Å, degrees): 10.1746 10.1746 10.7136 88.75 88.75 36.99
With the nearest neighbours (Å) after each atom.
Positions (direct):
Li: 0.7917 0.0706 0.4711  1 O 1.88
Li: 0.0706 0.7917 0.9711  1 O 1.88
Li: 0.9294 0.2083 0.0289  1 O 1.88
Li: 0.2083 0.9294 0.5289  1 O 1.88
Li: 0.4094 0.5906 0.2500  4 O 2.24-2.27
Li: 0.5906 0.4094 0.7500  4 O 2.24-2.27
Ti: 0.3658 0.3250 0.2485  6 O 2.01-2.16
Ti: 0.3250 0.3658 0.7485  6 O 2.01-2.16
Ti: 0.5000 0.0000 0.0000  6 O 2.02-2.07
Ti: 0.0000 0.5000 0.5000  6 O 2.02-2.07
Ti: 0.6750 0.6342 0.2515  6 O 2.01-2.16
Ti: 0.6342 0.6750 0.7515  6 O 2.01-2.16
P: 0.2560 0.5836 0.4917  4 O 1.52-1.58
P: 0.5836 0.2560 0.9917  4 O 1.52-1.58
P: 0.8191 0.7833 0.2436  4 O 1.53-1.59
P: 0.7833 0.8191 0.7436  4 O 1.53-1.59
P: 0.2167 0.1809 0.2564  4 O 1.53-1.59
P: 0.1809 0.2167 0.7564  4 O 1.53-1.59
P: 0.4164 0.7440 0.0083  4 O 1.52-1.58
P: 0.7440 0.4164 0.5083  4 O 1.52-1.58
O: 0.1844 0.7805 0.4616  1 P 1.52
O: 0.7805 0.1844 0.9616  1 P 1.52
O: 0.4705 0.3756 0.1201  1 P 1.57
O: 0.4213 0.4071 0.3867  1 P 1.58
O: 0.3756 0.4705 0.6201  1 P 1.57
O: 0.4071 0.4213 0.8867  1 P 1.58
O: 0.0516 0.6559 0.4926  1 P 1.56
O: 0.0537 0.6371 0.2119  1 P 1.53
O: 0.6559 0.0516 0.9926  1 P 1.56
O: 0.6793 0.0132 0.2775  1 P 1.53
O: 0.6371 0.0537 0.7119  1 P 1.53
O: 0.0132 0.6793 0.7775  1 P 1.53
O: 0.2287 0.2772 0.3625  1 P 1.59
O: 0.3087 0.1998 0.1466  1 P 1.59
O: 0.2772 0.2287 0.8625  1 P 1.59
O: 0.1998 0.3087 0.6466  1 P 1.59
O: 0.8002 0.6913 0.3534  1 P 1.59
O: 0.7228 0.7713 0.1375  1 P 1.59
O: 0.6913 0.8002 0.8534  1 P 1.59
O: 0.7713 0.7228 0.6375  1 P 1.59
O: 0.9868 0.3207 0.2225  1 P 1.53
O: 0.3629 0.9463 0.2881  1 P 1.53
O: 0.3207 0.9868 0.7225  1 P 1.53
O: 0.3441 0.9484 0.0074  1 P 1.56
O: 0.9463 0.3629 0.7881  1 P 1.53
O: 0.9484 0.3441 0.5074  1 P 1.56
O: 0.5929 0.5787 0.1133  1 P 1.58
O: 0.6244 0.5295 0.3799  1 P 1.57
O: 0.5787 0.5929 0.6133  1 P 1.58
O: 0.5295 0.6244 0.8799  1 P 1.57
O: 0.2195 0.8156 0.0384  1 P 1.52
O: 0.8156 0.2195 0.5384  1 P 1.52

# 5
## P (GGA-PBE)

Data for a geometry-optimized P structure.

Output
offset from the most stable computed form: 139.0 meV/atom
volume: 831 Å³ per cell
ΔE_f: 139 meV/atom
space group: P-1 (2)

Lattice parameters (Å, degrees): 6.0248 11.8630 12.0190 94.11 98.73 100.19
With the nearest neighbours (Å) after each atom.
Positions (direct):
P: 0.0721 0.0022 0.1868  3 P 2.20
P: 0.9279 0.9978 0.8132  3 P 2.20
P: 0.8505 0.9530 0.3121  3 P 2.20-2.21
P: 0.1495 0.0470 0.6879  3 P 2.20-2.21
P: 0.0068 0.1350 0.3092  3 P 2.20
P: 0.9932 0.8650 0.6908  3 P 2.20
P: 0.2219 0.0115 0.3669  3 P 2.20-2.21
P: 0.7781 0.9885 0.6331  3 P 2.20-2.21
P: 0.7636 0.3683 0.0575  3 P 2.20
P: 0.2364 0.6317 0.9425  3 P 2.20
P: 0.5926 0.1861 0.0349  3 P 2.20
P: 0.4074 0.8139 0.9651  3 P 2.20
P: 0.5138 0.3056 0.1659  3 P 2.20
P: 0.4862 0.6944 0.8341  3 P 2.20
P: 0.3969 0.3201 0.9858  3 P 2.20
P: 0.6031 0.6799 0.0142  3 P 2.20
P: 0.2969 0.6829 0.4634  3 P 2.20
P: 0.7031 0.3171 0.5366  3 P 2.20
P: 0.9476 0.6272 0.3678  3 P 2.20
P: 0.0524 0.3728 0.6322  3 P 2.20
P: 0.2013 0.5153 0.3600  3 P 2.20
P: 0.7987 0.4847 0.6400  3 P 2.20
P: 0.2365 0.6760 0.2775  3 P 2.20
P: 0.7635 0.3240 0.7225  3 P 2.20

# 6
## ErBiO3 (GGA-PBE)

Data for a geometry-optimized ErBiO3 structure.

Output
E (MP2020): -7.458 eV per atom
volume: 157 Å³ per cell
ΔE_f: -2798 meV/atom
space group: R-3 (148)

Lattice parameters (Å, degrees): 6.1155 6.1155 6.1155 58.60 58.60 58.60
With the nearest neighbours (Å) after each atom.
Positions (direct):
Er: 0.1423 0.1423 0.1423  6 O 2.23-2.34
Er: 0.8577 0.8577 0.8577  6 O 2.23-2.34
Bi: 0.3570 0.3570 0.3570  6 O 2.33-2.49
Bi: 0.6430 0.6430 0.6430  6 O 2.33-2.49
O: 0.4553 0.7827 0.0117  2 Er 2.23-2.34, 2 Bi 2.33-2.49
O: 0.7827 0.0117 0.4553  2 Er 2.23-2.34, 2 Bi 2.33-2.49
O: 0.0117 0.4553 0.7827  2 Er 2.23-2.34, 2 Bi 2.33-2.49
O: 0.9883 0.5447 0.2173  2 Er 2.23-2.34, 2 Bi 2.33-2.49
O: 0.2173 0.9883 0.5447  2 Er 2.23-2.34, 2 Bi 2.33-2.49
O: 0.5447 0.2173 0.9883  2 Er 2.23-2.34, 2 Bi 2.33-2.49